Record 1
! CaMg15 PBE optimized geometry; values from VASP
&SYSTEM
  ibrav = 0, nat = 16, ntyp = 2
/
ATOMIC_SPECIES
Ca 40.08 Ca.upf
Mg 24.30 Mg.upf
CELL_PARAMETERS angstrom
-1.042 4.333 -4.785
-4.593 -4.416 1.469
-4.133 6.581 6.859
ATOMIC_POSITIONS angstrom
Ca -2.226 1.417 -2.700
Mg -4.292 4.707 0.730
Mg -1.736 -0.763 -0.313
Mg -3.768 2.542 3.122
Mg -3.991 -2.931 0.408
Mg -6.069 0.331 3.858
Mg -4.502 -0.804 -1.941
Mg -6.590 2.501 1.462
Mg -3.362 -0.522 2.471
Mg -5.386 2.702 5.831
Mg -3.877 1.623 0.102
Mg -5.902 4.847 3.462
Mg -6.152 -0.563 0.829
Mg -8.176 2.661 4.189
Mg -1.024 1.631 1.700
Mg -3.108 4.950 5.159
! DFT total energy   -25.81 eV per cell
! ρ   1.75 g/cm3


Record 2
! CaMg2 PBE optimized geometry; values from VASP
&SYSTEM
  ibrav = 0, nat = 6, ntyp = 2
/
ATOMIC_SPECIES
Ca 40.08 Ca.upf
Mg 24.30 Mg.upf
CELL_PARAMETERS angstrom
-0.207 -4.890 -3.308
2.577 -4.963 1.902
-4.074 -4.568 2.113
ATOMIC_POSITIONS angstrom
Ca 1.306 -6.098 1.958
Ca -3.010 -8.322 -1.250
Mg -2.027 -6.730 1.537
Mg -1.258 -9.986 1.080
Mg -0.446 -4.434 -0.372
Mg 0.323 -7.690 -0.829
! DFT total energy   -10.39 eV per cell
! ρ   1.73 g/cm3


Record 3
! Ca5Mg PBE optimized geometry; values from VASP
&SYSTEM
  ibrav = 0, nat = 6, ntyp = 2
/
ATOMIC_SPECIES
Ca 40.08 Ca.upf
Mg 24.30 Mg.upf
CELL_PARAMETERS angstrom
1.562 0.585 6.320
-5.787 2.149 -2.149
-2.472 -5.535 1.123
ATOMIC_POSITIONS angstrom
Ca -0.179 -2.372 4.841
Ca -2.601 -1.885 1.908
Ca -5.155 -1.313 -0.894
Ca -0.888 1.106 3.497
Ca -3.338 1.627 0.674
Mg 0.000 0.000 0.000
! DFT total energy   -11.58 eV per cell
! Distance to the lowest polymorph of the same formula   0 meV per atom
! ρ   1.64 g/cm3


Record 4
! Ca5Mg PBE optimized geometry; values from VASP
&SYSTEM
  ibrav = 0, nat = 6, ntyp = 2
/
ATOMIC_SPECIES
Ca 40.08 Ca.upf
Mg 24.30 Mg.upf
CELL_PARAMETERS angstrom
1.608 -7.261 0.026
3.645 -5.816 -2.863
7.365 -0.721 4.831
ATOMIC_POSITIONS angstrom
Ca 0.132 -0.079 0.054
Ca 4.140 -4.488 0.674
Ca 9.370 -12.868 0.170
Ca 8.388 -9.196 1.314
Ca 8.467 -4.267 3.835
Mg 5.254 -8.196 -0.395
! DFT total energy   -11.53 eV per cell
! Distance to the lowest polymorph of the same formula   8 meV per atom
! ρ   1.60 g/cm3


Record 5
! Ca5Mg PBE optimized geometry; values from VASP
&SYSTEM
  ibrav = 0, nat = 6, ntyp = 2
/
ATOMIC_SPECIES
Ca 40.08 Ca.upf
Mg 24.30 Mg.upf
CELL_PARAMETERS angstrom
1.908 -3.305 0.000
1.908 3.305 0.000
0.000 0.000 18.738
ATOMIC_POSITIONS angstrom
Ca 1.908 -1.102 15.980
Ca 0.000 0.000 12.655
Ca 1.908 -1.102 9.369
Ca 0.000 0.000 6.083
Ca 1.908 -1.102 2.757
Mg 0.000 0.000 0.000
! DFT total energy   -11.42 eV per cell
! Distance to the lowest polymorph of the same formula   27 meV per atom
! ρ   1.58 g/cm3


Record 6
! CaMg PBE optimized geometry; values from VASP
&SYSTEM
  ibrav = 0, nat = 6, ntyp = 2
/
ATOMIC_SPECIES
Ca 40.08 Ca.upf
Mg 24.30 Mg.upf
CELL_PARAMETERS angstrom
-3.618 0.493 -0.512
1.329 -3.381 0.634
-2.021 2.302 16.500
ATOMIC_POSITIONS angstrom
Ca 0.000 0.000 0.000
Ca -3.598 1.056 13.165
Ca -2.362 -0.351 3.075
Mg -1.298 1.479 10.599
Mg -2.980 0.352 8.120
Mg -0.723 0.823 5.901
! DFT total energy   -10.25 eV per cell
! ρ   1.62 g/cm3


Record 7
! CaMg2 PBE optimized geometry; values from VASP
&SYSTEM
  ibrav = 0, nat = 6, ntyp = 2
/
ATOMIC_SPECIES
Ca 40.08 Ca.upf
Mg 24.30 Mg.upf
CELL_PARAMETERS angstrom
-5.518 -1.349 -2.219
2.545 -2.971 4.678
-2.251 3.519 3.459
ATOMIC_POSITIONS angstrom
Ca -3.780 -0.401 4.325
Ca -1.443 -0.400 1.593
Mg -6.211 0.276 2.056
Mg -1.123 -0.748 6.407
Mg -4.100 -0.053 -0.489
Mg 0.987 -1.076 3.863
! DFT total energy   -10.65 eV per cell
! ρ   1.75 g/cm3


Record 8
! CaMg2 PBE optimized geometry; values from VASP
&SYSTEM
  ibrav = 0, nat = 6, ntyp = 2
/
ATOMIC_SPECIES
Ca 40.08 Ca.upf
Mg 24.30 Mg.upf
CELL_PARAMETERS angstrom
1.742 -3.017 0.000
1.742 3.017 0.000
0.000 0.000 16.686
ATOMIC_POSITIONS angstrom
Ca 0.000 0.000 5.463
Ca 0.000 0.000 11.223
Mg 0.000 0.000 0.000
Mg 1.742 -1.006 2.586
Mg 1.742 -1.006 8.343
Mg 1.742 -1.006 14.100
! DFT total energy   -9.86 eV per cell
! ρ   1.68 g/cm3